[1]
Below is Th3Sn13Rh4 after structural relaxation, with properties calculated at the PBE level.

Values from the calculation:
Its space group is Pm-3n, No. 223. Its crystal system is cubic. The calculation puts the formation energy from the elements at -10.5 eV/f.u.

```
Th3Sn13Rh4
1.0
9.816 0.000 0.000
0.000 9.816 0.000
0.000 0.000 9.816
Th Sn Rh
6 26 8
Direct
0.000 0.250 0.500
0.000 0.750 0.500
0.250 0.500 0.000
0.500 0.000 0.250
0.500 0.000 0.750
0.750 0.500 0.000
0.000 0.000 0.000
0.000 0.308 0.152
0.000 0.308 0.848
0.000 0.692 0.152
0.000 0.692 0.848
0.152 0.000 0.308
0.152 0.000 0.692
0.192 0.500 0.348
0.192 0.500 0.652
0.308 0.152 0.000
0.308 0.848 0.000
0.348 0.192 0.500
0.348 0.808 0.500
0.500 0.348 0.192
0.500 0.348 0.808
0.500 0.500 0.500
0.500 0.652 0.192
0.500 0.652 0.808
0.652 0.192 0.500
0.652 0.808 0.500
0.692 0.152 0.000
0.692 0.848 0.000
0.808 0.500 0.348
0.808 0.500 0.652
0.848 0.000 0.308
0.848 0.000 0.692
0.250 0.250 0.250
0.250 0.250 0.750
0.250 0.750 0.250
0.250 0.750 0.750
0.750 0.250 0.250
0.750 0.250 0.750
0.750 0.750 0.250
0.750 0.750 0.750
```

[2]
Below is NaCN after structural relaxation, with properties calculated at the PBE level.

Values from the calculation:
The energy above the most stable polymorph in this dataset comes out at 4 meV per atom. Its space group is Imm2, No. 44. Its crystal system is orthorhombic. The calculation puts the total magnetization at 0.000 μB per formula unit. The calculation puts the formation energy from the elements at -0.9 eV/f.u.

```
NaCN
1.0
-1.843 2.805 2.415
1.843 -2.805 2.415
1.843 2.805 -2.415
Na C N
1 1 1
Direct
0.000 0.000 0.000
0.605 0.105 0.500
0.361 0.861 0.500
```

[3]
Below is Cs2CaBr4 after structural relaxation, with properties calculated at the PBE level.

Values from the calculation:
Its space group is I4/mmm, No. 139. Its crystal system is tetragonal. The calculation puts the formation energy from the elements at -15.7 eV/f.u.

```
Cs2CaBr4
1.0
-2.872 2.872 9.105
2.872 -2.872 9.105
2.872 2.872 -9.105
Cs Ca Br
2 1 4
Direct
0.143 0.143 0.000
0.857 0.857 0.000
0.500 0.500 0.000
0.000 0.500 0.500
0.340 0.340 0.000
0.500 0.000 0.500
0.660 0.660 0.000
```

- The highest formation energy from the elements belongs to which entry?
  NaCN

- formation energy from the elements of number 1 (Th3Sn13Rh4)?
  -10.5 eV/f.u.